Cs2LiCeI6 | the Materials Project database | PBE-GGA | optimized geometry; ρ = 4.229 Mg/m³
1.0
3.9300 4.0364 6.5920
-3.9758 6.5470 4.0647
-2.9239 -1.0586 8.0946
Cs Li Ce I
2 1 1 6
direct
0.7500 0.7500 0.7500
0.2500 0.2500 0.2500
0.5000 0.5000 0.5000
0.0000 0.0000 0.0000
0.7449 0.2551 0.2551
0.2551 0.2551 0.7449
0.2551 0.7449 0.7449
0.2551 0.7449 0.2551
0.7449 0.2551 0.7449
0.7449 0.7449 0.2551

Co4Ge | the Materials Project database | PBE-GGA | optimized geometry; ρ = 8.701 Mg/m³; offset from the most stable computed form = 0.0 meV/atom
1.0
9.8917 -1.3125 0.0000
9.8917 1.3125 0.0000
9.7176 0.0000 2.2666
Co Ge
4 1
direct
0.5988 0.5988 0.5988
0.2003 0.2003 0.2003
0.7997 0.7997 0.7997
0.4012 0.4012 0.4012
0.0000 0.0000 0.0000

Calculated magnetization, 1.00; 6.07 μB per formula unit (same order as the records).
Calculated formation energy, -1.664; 0.137 eV per atom (same order as the records).